1.
Computed, not measured: crystalline Ca8Mn7CrO24 at its relaxed geometry at the PBE with a Hubbard U level of DFT.

Summary:
**Volume**: 11.02 A^3/atom
**Polymorph energy (0 for the lowest one)**: 78 meV per atom
**DFT total energy**: -6.886 eV per atom
**ΔE_f**: -97.0 eV per formula unit
**Total magnetization**: 23.33 μB/cell

a b c (Å): 7.611 7.611 7.611
angles (deg): 90.00 90.00 90.00
Fractional coordinates of all 40 atoms:
Ca: 0.249 0.249 0.249
Ca: 0.249 0.249 0.751
Ca: 0.249 0.751 0.249
Ca: 0.249 0.751 0.751
Ca: 0.751 0.249 0.249
Ca: 0.751 0.249 0.751
Ca: 0.751 0.751 0.249
Ca: 0.751 0.751 0.751
Mn: 0.000 0.000 0.000
Mn: 0.000 0.000 0.500
Mn: 0.000 0.500 0.000
Mn: 0.000 0.500 0.500
Mn: 0.500 0.000 0.000
Mn: 0.500 0.000 0.500
Mn: 0.500 0.500 0.000
Cr: 0.500 0.500 0.500
O: 0.000 0.000 0.250
O: 0.000 0.000 0.750
O: 0.000 0.250 0.000
O: 0.000 0.250 0.500
O: 0.000 0.500 0.250
O: 0.000 0.500 0.750
O: 0.000 0.750 0.000
O: 0.000 0.750 0.500
O: 0.249 0.500 0.500
O: 0.250 0.000 0.000
O: 0.250 0.000 0.500
O: 0.250 0.500 0.000
O: 0.500 0.000 0.250
O: 0.500 0.000 0.750
O: 0.500 0.249 0.500
O: 0.500 0.250 0.000
O: 0.500 0.500 0.249
O: 0.500 0.500 0.751
O: 0.500 0.750 0.000
O: 0.500 0.751 0.500
O: 0.750 0.000 0.000
O: 0.750 0.000 0.500
O: 0.750 0.500 0.000
O: 0.751 0.500 0.500

=====

2.
Computed, not measured: crystalline Ca8Mn7CrO21 at its relaxed geometry at the PBE with a Hubbard U level of DFT.

Summary:
**Volume**: 12.55 A^3/atom
**Polymorph energy (0 for the lowest one)**: 0 meV per atom
**DFT total energy**: -7.014 eV per atom
**ΔE_f**: -93.9 eV per formula unit
**Total magnetization**: 116.00 μB/cell

a b c (Å): 10.969 10.973 15.435
angles (deg): 89.87 89.48 88.29
Fractional coordinates of all 148 atoms:
Ca: 0.000 0.000 0.000
Ca: 0.001 0.505 0.996
Ca: 0.029 0.503 0.761
Ca: 0.033 0.999 0.274
Ca: 0.037 0.496 0.276
Ca: 0.041 0.995 0.769
Ca: 0.215 0.247 0.510
Ca: 0.216 0.248 0.004
Ca: 0.216 0.746 0.011
Ca: 0.225 0.750 0.512
Ca: 0.239 0.247 0.757
Ca: 0.249 0.241 0.268
Ca: 0.261 0.742 0.755
Ca: 0.265 0.746 0.272
Ca: 0.453 0.981 0.017
Ca: 0.455 0.470 0.014
Ca: 0.465 0.966 0.510
Ca: 0.469 0.505 0.517
Ca: 0.480 0.975 0.749
Ca: 0.486 0.978 0.275
Ca: 0.502 0.505 0.268
Ca: 0.506 0.504 0.757
Ca: 0.732 0.733 0.519
Ca: 0.760 0.255 0.514
Ca: 0.762 0.763 0.292
Ca: 0.764 0.245 0.281
Ca: 0.768 0.264 0.777
Ca: 0.771 0.234 0.007
Ca: 0.776 0.728 0.000
Ca: 0.776 0.728 0.761
Ca: 0.981 0.985 0.510
Ca: 0.987 0.504 0.512
Mn: 0.000 0.743 0.639
Mn: 0.001 0.747 0.388
Mn: 0.004 0.749 0.882
Mn: 0.005 0.755 0.145
Mn: 0.241 0.997 0.137
Mn: 0.244 0.993 0.634
Mn: 0.245 0.498 0.634
Mn: 0.246 0.497 0.139
Mn: 0.246 0.994 0.391
Mn: 0.252 0.489 0.886
Mn: 0.253 0.494 0.391
Mn: 0.255 0.990 0.889
Mn: 0.479 0.255 0.637
Mn: 0.481 0.245 0.141
Mn: 0.488 0.744 0.136
Mn: 0.491 0.729 0.884
Mn: 0.492 0.237 0.379
Mn: 0.493 0.226 0.873
Mn: 0.494 0.740 0.635
Mn: 0.502 0.742 0.389
Mn: 0.732 0.441 0.133
Mn: 0.737 0.972 0.644
Mn: 0.745 0.005 0.404
Mn: 0.749 0.491 0.640
Mn: 0.758 0.504 0.891
Mn: 0.760 0.503 0.384
Mn: 0.996 0.246 0.389
Mn: 0.999 0.256 0.639
Cr: 0.002 0.247 0.885
Cr: 0.005 0.260 0.141
Cr: 0.729 0.940 0.121
Cr: 0.759 0.010 0.883
O: 0.009 0.712 0.513
O: 0.070 0.406 0.124
O: 0.089 0.914 0.123
O: 0.099 0.894 0.621
O: 0.104 0.382 0.409
O: 0.104 0.401 0.617
O: 0.105 0.891 0.404
O: 0.111 0.386 0.903
O: 0.111 0.889 0.903
O: 0.131 0.135 0.659
O: 0.132 0.146 0.163
O: 0.139 0.139 0.371
O: 0.142 0.646 0.166
O: 0.143 0.639 0.368
O: 0.146 0.641 0.658
O: 0.149 0.640 0.867
O: 0.152 0.136 0.867
O: 0.243 0.529 0.013
O: 0.247 0.037 0.014
O: 0.250 0.963 0.264
O: 0.251 0.031 0.513
O: 0.251 0.456 0.760
O: 0.253 0.539 0.513
O: 0.255 0.454 0.266
O: 0.258 0.959 0.762
O: 0.338 0.337 0.112
O: 0.338 0.346 0.610
O: 0.340 0.849 0.115
O: 0.348 0.847 0.616
O: 0.356 0.850 0.404
O: 0.363 0.844 0.920
O: 0.365 0.335 0.911
O: 0.374 0.355 0.416
O: 0.388 0.099 0.377
O: 0.394 0.593 0.650
O: 0.397 0.605 0.374
O: 0.402 0.101 0.643
O: 0.404 0.575 0.882
O: 0.409 0.089 0.151
O: 0.411 0.074 0.880
O: 0.428 0.580 0.139
O: 0.482 0.767 0.759
O: 0.507 0.767 0.263
O: 0.513 0.713 0.512
O: 0.525 0.284 0.759
O: 0.525 0.286 0.263
O: 0.590 0.889 0.619
O: 0.591 0.353 0.585
O: 0.597 0.335 0.076
O: 0.606 0.899 0.398
O: 0.607 0.850 0.069
O: 0.642 0.635 0.654
O: 0.644 0.159 0.399
O: 0.645 0.637 0.376
O: 0.650 0.160 0.896
O: 0.651 0.652 0.890
O: 0.695 0.009 0.220
O: 0.701 0.988 0.766
O: 0.718 0.468 0.772
O: 0.719 0.466 0.260
O: 0.765 0.519 0.512
O: 0.767 0.049 0.540
O: 0.777 0.522 0.021
O: 0.779 0.023 0.025
O: 0.825 0.804 0.139
O: 0.837 0.330 0.637
O: 0.838 0.276 0.142
O: 0.848 0.856 0.897
O: 0.849 0.350 0.400
O: 0.849 0.354 0.902
O: 0.849 0.856 0.413
O: 0.852 0.844 0.626
O: 0.887 0.100 0.365
O: 0.898 0.103 0.860
O: 0.898 0.602 0.659
O: 0.899 0.611 0.363
O: 0.902 0.612 0.869
O: 0.982 0.793 0.266
O: 0.991 0.207 0.516
O: 0.995 0.788 0.761
O: 0.996 0.287 0.268
O: 0.997 0.287 0.761
O: 0.998 0.718 0.018
O: 0.999 0.211 0.016